Model 1:
Rb4CO4 | GGA-PBE | relaxed Values from VASP.

The calculation puts the piezoelectric modulus e_max at 1.3 C/m2.

Cell and atoms, written as Quantum ESPRESSO input:
```
&SYSTEM
  ibrav = 0, nat = 9, ntyp = 3
/
ATOMIC_SPECIES
Rb 85.47 Rb.upf
O 16.00 O.upf
C 12.01 C.upf
ATOMIC_POSITIONS angstrom
Rb 7.6353 -0.1053 2.7763
O 0.5080 0.0000 0.3572
O 2.8727 0.0424 0.3516
Rb 5.8580 1.8893 5.3039
O 1.7164 -1.2031 1.9961
Rb 5.7531 -1.7840 5.4532
Rb 3.9647 0.0000 2.7878
O 1.6741 1.1607 2.0563
C 1.6938 0.0000 1.1910
CELL_PARAMETERS angstrom
4.1088 -4.0934 0.0000
4.1088 4.0934 0.0000
0.0306 0.0000 5.7998
```

Model 2:
Rb4CO4 | GGA-PBE | relaxed Values from VASP.

Cell and atoms, written as Quantum ESPRESSO input:
```
&SYSTEM
  ibrav = 0, nat = 18, ntyp = 3
/
ATOMIC_SPECIES
Rb 85.47 Rb.upf
O 16.00 O.upf
C 12.01 C.upf
ATOMIC_POSITIONS angstrom
Rb 2.7697 -5.5171 5.3913
Rb 0.8619 -3.3070 3.6721
O 0.9977 -3.4967 6.5173
O 0.5968 -1.3163 5.7252
O -0.9191 -5.4063 2.2598
Rb -0.9279 -5.7251 5.0967
O 1.1486 -6.0977 3.1480
Rb -1.5278 -4.8420 8.1214
Rb 0.9992 -8.0656 7.4365
C 0.0173 -2.4103 6.4330
Rb 1.8651 -3.8300 0.6706
O -0.3526 -1.9926 7.7595
Rb -1.0971 -0.9951 1.3305
O 0.5032 -6.8461 1.0218
Rb -2.7995 -3.4827 3.3796
O -0.5980 -7.6348 2.9376
O -1.1338 -2.8854 5.7353
C 0.0449 -6.5073 2.3432
CELL_PARAMETERS angstrom
-4.2945 -3.8362 -0.2474
4.6798 -5.2675 0.4421
-0.5104 0.0187 8.5706
```

Model 3:
Rb4CO4 | GGA-PBE | relaxed Values from VASP.

Cell and atoms, written as Quantum ESPRESSO input:
```
&SYSTEM
  ibrav = 0, nat = 9, ntyp = 3
/
ATOMIC_SPECIES
O 16.00 O.upf
Rb 85.47 Rb.upf
C 12.01 C.upf
ATOMIC_POSITIONS angstrom
O 4.8110 1.0423 -0.3424
Rb 1.8783 -1.9868 1.0260
Rb 3.6056 0.9310 2.1087
Rb 0.7473 1.7922 3.7437
C 0.0000 0.0000 0.0000
Rb 1.9755 1.9608 -0.8832
O 4.7581 -1.1066 0.6969
O 0.7784 0.5148 1.1040
O -2.1407 2.2469 4.5367
CELL_PARAMETERS angstrom
2.6594 -5.7060 2.8543
2.9397 5.6684 -2.6469
-2.9916 2.7727 5.5804
```

Stability check: which of them is most stable? model 2.

Model 1:
Rb4CO4 | GGA-PBE | relaxed Values from VASP.

Cell and atoms, written as Quantum ESPRESSO input:
```
&SYSTEM
  ibrav = 0, nat = 9, ntyp = 3
/
ATOMIC_SPECIES
Rb 85.47 Rb.upf
O 16.00 O.upf
C 12.01 C.upf
ATOMIC_POSITIONS angstrom
Rb 1.7885 1.6947 -1.5034
Rb 0.9860 1.5292 3.7282
Rb -0.9860 1.5292 6.7349
Rb 3.7605 1.6947 1.5034
O -1.9538 2.3949 4.3764
O 4.7283 0.8291 -0.8551
O 1.9538 2.3949 6.0867
O 0.8207 0.8291 0.8551
C 0.0000 0.0000 0.0000
CELL_PARAMETERS angstrom
-2.7745 3.2240 5.2316
2.7745 -3.2240 5.2316
2.7745 3.2240 -5.2316
```

Model 2:
Rb4CO4 | GGA-PBE | relaxed Values from VASP.

Cell and atoms, written as Quantum ESPRESSO input:
```
&SYSTEM
  ibrav = 0, nat = 9, ntyp = 3
/
ATOMIC_SPECIES
O 16.00 O.upf
Rb 85.47 Rb.upf
C 12.01 C.upf
ATOMIC_POSITIONS angstrom
O 4.2744 2.6356 3.3221
Rb 4.5993 5.2193 4.1448
O 2.3355 3.9742 3.3221
Rb 5.2193 2.0105 0.8394
O 2.6356 2.3355 1.6621
O 3.9742 4.2744 1.6621
Rb 2.0105 1.3905 4.1448
Rb 1.3905 4.5993 0.8394
C 3.3049 3.3049 2.4921
CELL_PARAMETERS angstrom
6.6098 0.0000 0.0000
0.0000 6.6098 0.0000
0.0000 0.0000 4.9842
```

Stability check: which of them is most stable? model 1.